No. 1
{
  "formula": "BN",
  "functional": "PBE",
  "state": "optimized geometry",
  "lattice_angstrom": [[2.512, 0.000, 0.000], [-1.256, 2.175, 0.000], [0.000, 0.000, 10.983]],
  "species": ["B", "B", "B", "N", "N", "N"],
  "frac_coords": [[0.000, 0.000, 0.000], [0.333, 0.667, 0.667], [0.667, 0.333, 0.333], [0.000, 0.000, 0.333], [0.333, 0.667, 0.000], [0.667, 0.333, 0.667]],
  "ef_ev_per_fu": -2.9,
  "piezo_max_c_m2": 0.53,
  "de_polymorph_ev_per_fu": 0.00,
  "spacegroup": "No. 160",
  "crystal_system": "trigonal"
}

---

No. 2
{
  "formula": "BN",
  "functional": "PBE",
  "state": "optimized geometry",
  "lattice_angstrom": [[10.554, 0.000, 0.000], [-0.013, 10.982, 0.000], [-0.767, -0.525, 11.289]],
  "species": ["B", "B", "B", "B", "B", "B", "B", "B", "B", "B", "B", "B", "B", "B", "B", "B", "B", "B", "B", "B", "B", "B", "B", "B", "B", "B", "B", "B", "B", "B", "B", "B", "B", "B", "B", "B", "B", "B", "B", "B", "B", "B", "B", "B", "B", "B", "B", "B", "B", "B", "N", "N", "N", "N", "N", "N", "N", "N", "N", "N", "N", "N", "N", "N", "N", "N", "N", "N", "N", "N", "N", "N", "N", "N", "N", "N", "N", "N", "N", "N", "N", "N", "N", "N", "N", "N", "N", "N", "N", "N", "N", "N", "N", "N", "N", "N", "N", "N", "N", "N"],
  "frac_coords": [[0.000, 0.000, 0.000], [0.000, 0.438, 0.574], [0.030, 0.462, 0.804], [0.039, 0.469, 0.227], [0.041, 0.639, 0.663], [0.071, 0.063, 0.796], [0.083, 0.876, 0.405], [0.113, 0.829, 0.547], [0.133, 0.082, 0.334], [0.138, 0.406, 0.907], [0.140, 0.682, 0.270], [0.155, 0.328, 0.569], [0.199, 0.291, 0.266], [0.223, 0.134, 0.649], [0.229, 0.928, 0.605], [0.250, 0.891, 0.275], [0.254, 0.503, 0.524], [0.280, 0.497, 0.235], [0.337, 0.100, 0.246], [0.351, 0.301, 0.847], [0.382, 0.704, 0.245], [0.385, 0.311, 0.642], [0.420, 0.312, 0.219], [0.464, 0.438, 0.590], [0.479, 0.912, 0.230], [0.517, 0.521, 0.234], [0.546, 0.196, 0.749], [0.558, 0.126, 0.207], [0.623, 0.479, 0.608], [0.630, 0.727, 0.245], [0.648, 0.335, 0.197], [0.675, 0.597, 0.702], [0.711, 0.954, 0.251], [0.729, 0.840, 0.680], [0.747, 0.532, 0.288], [0.758, 0.254, 0.683], [0.763, 0.455, 0.564], [0.764, 0.073, 0.679], [0.781, 0.172, 0.236], [0.789, 0.684, 0.827], [0.804, 0.448, 0.798], [0.861, 0.460, 0.373], [0.879, 0.361, 0.175], [0.892, 0.677, 0.229], [0.897, 0.749, 0.018], [0.905, 0.898, 0.176], [0.920, 0.034, 0.342], [0.983, 0.253, 0.327], [0.989, 0.199, 0.650], [0.998, 0.412, 0.982], [0.009, 0.524, 0.692], [0.019, 0.610, 0.255], [0.027, 0.304, 0.596], [0.045, 0.024, 0.896], [0.046, 0.006, 0.390], [0.071, 0.736, 0.613], [0.094, 0.122, 0.695], [0.110, 0.212, 0.319], [0.139, 0.449, 0.521], [0.145, 0.813, 0.308], [0.172, 0.418, 0.242], [0.242, 0.023, 0.288], [0.255, 0.352, 0.891], [0.264, 0.254, 0.608], [0.266, 0.629, 0.246], [0.294, 0.025, 0.641], [0.317, 0.232, 0.241], [0.369, 0.836, 0.242], [0.377, 0.522, 0.535], [0.405, 0.444, 0.224], [0.430, 0.806, 0.508], [0.438, 0.257, 0.767], [0.456, 0.043, 0.218], [0.456, 0.880, 0.896], [0.509, 0.964, 0.877], [0.511, 0.653, 0.244], [0.515, 0.492, 0.944], [0.536, 0.805, 0.519], [0.539, 0.586, 0.979], [0.540, 0.257, 0.199], [0.611, 0.861, 0.237], [0.639, 0.463, 0.235], [0.656, 0.164, 0.707], [0.684, 0.079, 0.224], [0.712, 0.727, 0.719], [0.741, 0.559, 0.813], [0.752, 0.384, 0.684], [0.758, 0.660, 0.263], [0.760, 0.951, 0.663], [0.768, 0.282, 0.168], [0.845, 0.932, 0.287], [0.858, 0.169, 0.667], [0.875, 0.462, 0.501], [0.880, 0.738, 0.904], [0.885, 0.161, 0.324], [0.902, 0.769, 0.138], [0.923, 0.417, 0.866], [0.947, 0.382, 0.301], [0.956, 0.983, 0.102], [0.960, 0.422, 0.103]],
  "ef_ev_per_fu": -1.6,
  "de_polymorph_ev_per_fu": 1.28,
  "spacegroup": "No. 1",
  "crystal_system": "triclinic"
}

---

No. 3
{
  "formula": "NaB6NO10",
  "functional": "PBE",
  "state": "optimized geometry",
  "lattice_angstrom": [[12.467, 0.000, 0.000], [0.000, 12.467, 0.000], [0.000, 0.000, 12.467]],
  "species": ["Na", "Na", "Na", "Na", "Na", "Na", "Na", "Na", "B", "B", "B", "B", "B", "B", "B", "B", "B", "B", "B", "B", "B", "B", "B", "B", "B", "B", "B", "B", "B", "B", "B", "B", "B", "B", "B", "B", "B", "B", "B", "B", "B", "B", "B", "B", "B", "B", "B", "B", "B", "B", "B", "B", "B", "B", "B", "B", "N", "N", "N", "N", "N", "N", "N", "N", "O", "O", "O", "O", "O", "O", "O", "O", "O", "O", "O", "O", "O", "O", "O", "O", "O", "O", "O", "O", "O", "O", "O", "O", "O", "O", "O", "O", "O", "O", "O", "O", "O", "O", "O", "O", "O", "O", "O", "O", "O", "O", "O", "O", "O", "O", "O", "O", "O", "O", "O", "O", "O", "O", "O", "O", "O", "O", "O", "O", "O", "O", "O", "O", "O", "O", "O", "O", "O", "O", "O", "O", "O", "O", "O", "O", "O", "O", "O", "O"],
  "frac_coords": [[0.144, 0.144, 0.144], [0.144, 0.356, 0.644], [0.356, 0.644, 0.144], [0.356, 0.856, 0.644], [0.644, 0.144, 0.356], [0.644, 0.356, 0.856], [0.856, 0.644, 0.356], [0.856, 0.856, 0.856], [0.008, 0.223, 0.780], [0.008, 0.277, 0.280], [0.141, 0.696, 0.329], [0.141, 0.804, 0.829], [0.171, 0.641, 0.696], [0.171, 0.859, 0.196], [0.196, 0.171, 0.859], [0.196, 0.329, 0.359], [0.220, 0.508, 0.277], [0.220, 0.992, 0.777], [0.223, 0.720, 0.508], [0.223, 0.780, 0.008], [0.277, 0.220, 0.508], [0.277, 0.280, 0.008], [0.280, 0.008, 0.277], [0.280, 0.492, 0.777], [0.304, 0.671, 0.859], [0.304, 0.829, 0.359], [0.329, 0.141, 0.696], [0.329, 0.359, 0.196], [0.359, 0.196, 0.329], [0.359, 0.304, 0.829], [0.492, 0.723, 0.780], [0.492, 0.777, 0.280], [0.508, 0.223, 0.720], [0.508, 0.277, 0.220], [0.641, 0.696, 0.171], [0.641, 0.804, 0.671], [0.671, 0.641, 0.804], [0.671, 0.859, 0.304], [0.696, 0.171, 0.641], [0.696, 0.329, 0.141], [0.720, 0.508, 0.223], [0.720, 0.992, 0.723], [0.723, 0.720, 0.992], [0.723, 0.780, 0.492], [0.777, 0.220, 0.992], [0.777, 0.280, 0.492], [0.780, 0.008, 0.223], [0.780, 0.492, 0.723], [0.804, 0.671, 0.641], [0.804, 0.829, 0.141], [0.829, 0.141, 0.804], [0.829, 0.359, 0.304], [0.859, 0.196, 0.171], [0.859, 0.304, 0.671], [0.992, 0.723, 0.720], [0.992, 0.777, 0.220], [0.000, 0.000, 0.000], [0.000, 0.000, 0.500], [0.000, 0.500, 0.000], [0.000, 0.500, 0.500], [0.500, 0.000, 0.000], [0.500, 0.000, 0.500], [0.500, 0.500, 0.000], [0.500, 0.500, 0.500], [0.029, 0.704, 0.295], [0.029, 0.796, 0.795], [0.057, 0.647, 0.675], [0.057, 0.853, 0.175], [0.115, 0.234, 0.803], [0.115, 0.266, 0.303], [0.147, 0.675, 0.443], [0.147, 0.825, 0.943], [0.175, 0.057, 0.853], [0.175, 0.443, 0.353], [0.196, 0.696, 0.804], [0.196, 0.804, 0.304], [0.197, 0.615, 0.266], [0.197, 0.885, 0.766], [0.204, 0.205, 0.971], [0.204, 0.295, 0.471], [0.205, 0.529, 0.704], [0.205, 0.971, 0.204], [0.234, 0.697, 0.615], [0.234, 0.803, 0.115], [0.266, 0.197, 0.615], [0.266, 0.303, 0.115], [0.295, 0.029, 0.704], [0.295, 0.471, 0.204], [0.296, 0.705, 0.971], [0.296, 0.795, 0.471], [0.303, 0.115, 0.266], [0.303, 0.385, 0.766], [0.304, 0.196, 0.804], [0.304, 0.304, 0.304], [0.325, 0.557, 0.853], [0.325, 0.943, 0.353], [0.353, 0.175, 0.443], [0.353, 0.325, 0.943], [0.385, 0.734, 0.803], [0.385, 0.766, 0.303], [0.443, 0.147, 0.675], [0.443, 0.353, 0.175], [0.471, 0.204, 0.295], [0.471, 0.296, 0.795], [0.529, 0.704, 0.205], [0.529, 0.796, 0.705], [0.557, 0.647, 0.825], [0.557, 0.853, 0.325], [0.615, 0.234, 0.697], [0.615, 0.266, 0.197], [0.647, 0.675, 0.057], [0.647, 0.825, 0.557], [0.675, 0.057, 0.647], [0.675, 0.443, 0.147], [0.696, 0.696, 0.696], [0.696, 0.804, 0.196], [0.697, 0.615, 0.234], [0.697, 0.885, 0.734], [0.704, 0.205, 0.529], [0.704, 0.295, 0.029], [0.705, 0.529, 0.796], [0.705, 0.971, 0.296], [0.734, 0.697, 0.885], [0.734, 0.803, 0.385], [0.766, 0.197, 0.885], [0.766, 0.303, 0.385], [0.795, 0.029, 0.796], [0.795, 0.471, 0.296], [0.796, 0.705, 0.529], [0.796, 0.795, 0.029], [0.803, 0.115, 0.234], [0.803, 0.385, 0.734], [0.804, 0.196, 0.696], [0.804, 0.304, 0.196], [0.825, 0.557, 0.647], [0.825, 0.943, 0.147], [0.853, 0.175, 0.057], [0.853, 0.325, 0.557], [0.885, 0.734, 0.697], [0.885, 0.766, 0.197], [0.943, 0.147, 0.825], [0.943, 0.353, 0.325], [0.971, 0.204, 0.205], [0.971, 0.296, 0.705]],
  "ef_ev_per_fu": -40.4,
  "spacegroup": "No. 205",
  "crystal_system": "cubic"
}

---

No. 4
{
  "formula": "NaSr4B3N6",
  "functional": "PBE",
  "state": "optimized geometry",
  "lattice_angstrom": [[-3.796, 3.796, 3.796], [3.796, -3.796, 3.796], [3.796, 3.796, -3.796]],
  "species": ["Na", "Sr", "Sr", "Sr", "Sr", "B", "B", "B", "N", "N", "N", "N", "N", "N"],
  "frac_coords": [[0.000, 0.000, 0.000], [0.000, 0.000, 0.500], [0.000, 0.500, 0.000], [0.500, 0.000, 0.000], [0.500, 0.500, 0.500], [0.000, 0.500, 0.500], [0.500, 0.000, 0.500], [0.500, 0.500, 0.000], [0.000, 0.322, 0.322], [0.000, 0.678, 0.678], [0.322, 0.000, 0.322], [0.322, 0.322, 0.000], [0.678, 0.000, 0.678], [0.678, 0.678, 0.000]],
  "ef_ev_per_fu": -17.1,
  "spacegroup": "No. 229",
  "crystal_system": "cubic"
}

---

No. 5
{
  "formula": "NdBN2",
  "functional": "PBE",
  "state": "optimized geometry",
  "lattice_angstrom": [[6.077, 3.509, 2.338], [-6.077, 3.509, 2.338], [0.000, -7.017, 2.338]],
  "species": ["Nd", "Nd", "Nd", "Nd", "Nd", "Nd", "B", "B", "B", "B", "B", "B", "N", "N", "N", "N", "N", "N", "N", "N", "N", "N", "N", "N"],
  "frac_coords": [[0.204, 0.750, 0.296], [0.250, 0.704, 0.796], [0.296, 0.204, 0.750], [0.704, 0.796, 0.250], [0.750, 0.296, 0.204], [0.796, 0.250, 0.704], [0.130, 0.250, 0.370], [0.250, 0.370, 0.130], [0.370, 0.130, 0.250], [0.630, 0.870, 0.750], [0.750, 0.630, 0.870], [0.870, 0.750, 0.630], [0.009, 0.250, 0.491], [0.128, 0.372, 0.250], [0.250, 0.128, 0.372], [0.250, 0.491, 0.009], [0.372, 0.250, 0.128], [0.491, 0.009, 0.250], [0.509, 0.991, 0.750], [0.628, 0.750, 0.872], [0.750, 0.509, 0.991], [0.750, 0.872, 0.628], [0.872, 0.628, 0.750], [0.991, 0.750, 0.509]],
  "ef_ev_per_fu": -6.1,
  "spacegroup": "No. 167",
  "crystal_system": "trigonal"
}

---

No. 6
{
  "formula": "Si8BNO18",
  "functional": "PBE",
  "state": "optimized geometry",
  "lattice_angstrom": [[12.490, 0.000, 0.000], [0.000, 13.191, 0.000], [-5.244, 0.000, 12.070]],
  "species": ["Si", "Si", "Si", "Si", "Si", "Si", "Si", "Si", "Si", "Si", "Si", "Si", "Si", "Si", "Si", "Si", "Si", "Si", "Si", "Si", "Si", "Si", "Si", "Si", "Si", "Si", "Si", "Si", "Si", "Si", "Si", "Si", "B", "B", "B", "B", "N", "N", "N", "N", "O", "O", "O", "O", "O", "O", "O", "O", "O", "O", "O", "O", "O", "O", "O", "O", "O", "O", "O", "O", "O", "O", "O", "O", "O", "O", "O", "O", "O", "O", "O", "O", "O", "O", "O", "O", "O", "O", "O", "O", "O", "O", "O", "O", "O", "O", "O", "O", "O", "O", "O", "O", "O", "O", "O", "O", "O", "O", "O", "O", "O", "O", "O", "O", "O", "O", "O", "O", "O", "O", "O", "O"],
  "frac_coords": [[0.010, 0.246, 0.003], [0.010, 0.254, 0.503], [0.163, 0.616, 0.704], [0.163, 0.884, 0.204], [0.174, 0.616, 0.949], [0.174, 0.884, 0.449], [0.184, 0.123, 0.430], [0.184, 0.377, 0.930], [0.388, 0.123, 0.206], [0.388, 0.377, 0.706], [0.411, 0.606, 0.698], [0.411, 0.894, 0.198], [0.426, 0.705, 0.070], [0.426, 0.795, 0.570], [0.439, 0.193, 0.581], [0.439, 0.307, 0.081], [0.561, 0.693, 0.919], [0.561, 0.807, 0.419], [0.574, 0.205, 0.430], [0.574, 0.295, 0.930], [0.589, 0.106, 0.802], [0.589, 0.394, 0.302], [0.612, 0.623, 0.294], [0.612, 0.877, 0.794], [0.816, 0.623, 0.070], [0.816, 0.877, 0.570], [0.826, 0.116, 0.551], [0.826, 0.384, 0.051], [0.837, 0.116, 0.796], [0.837, 0.384, 0.296], [0.990, 0.746, 0.497], [0.990, 0.754, 0.997], [0.146, 0.113, 0.193], [0.146, 0.387, 0.693], [0.854, 0.613, 0.307], [0.854, 0.887, 0.807], [0.236, 0.520, 0.336], [0.236, 0.980, 0.836], [0.764, 0.020, 0.164], [0.764, 0.480, 0.664], [0.054, 0.165, 0.102], [0.054, 0.335, 0.602], [0.066, 0.665, 0.971], [0.066, 0.835, 0.471], [0.068, 0.686, 0.610], [0.068, 0.814, 0.110], [0.115, 0.197, 0.481], [0.115, 0.303, 0.981], [0.129, 0.132, 0.295], [0.129, 0.368, 0.795], [0.133, 0.003, 0.175], [0.133, 0.497, 0.675], [0.161, 0.642, 0.823], [0.161, 0.858, 0.323], [0.176, 0.006, 0.465], [0.176, 0.494, 0.965], [0.259, 0.149, 0.201], [0.259, 0.351, 0.701], [0.292, 0.645, 0.708], [0.292, 0.855, 0.208], [0.294, 0.664, 0.039], [0.294, 0.836, 0.539], [0.321, 0.156, 0.481], [0.321, 0.344, 0.981], [0.395, 0.011, 0.157], [0.395, 0.489, 0.657], [0.423, 0.198, 0.127], [0.423, 0.302, 0.627], [0.436, 0.677, 0.610], [0.436, 0.823, 0.110], [0.456, 0.700, 0.962], [0.456, 0.800, 0.462], [0.479, 0.111, 0.682], [0.479, 0.389, 0.182], [0.484, 0.133, 0.333], [0.484, 0.367, 0.833], [0.516, 0.633, 0.167], [0.516, 0.867, 0.667], [0.521, 0.611, 0.818], [0.521, 0.889, 0.318], [0.544, 0.200, 0.538], [0.544, 0.300, 0.038], [0.564, 0.177, 0.890], [0.564, 0.323, 0.390], [0.577, 0.698, 0.373], [0.577, 0.802, 0.873], [0.605, 0.511, 0.343], [0.605, 0.989, 0.843], [0.679, 0.656, 0.019], [0.679, 0.844, 0.519], [0.706, 0.164, 0.461], [0.706, 0.336, 0.961], [0.708, 0.145, 0.792], [0.708, 0.355, 0.292], [0.741, 0.649, 0.299], [0.741, 0.851, 0.799], [0.824, 0.506, 0.035], [0.824, 0.994, 0.535], [0.839, 0.142, 0.677], [0.839, 0.358, 0.177], [0.867, 0.503, 0.325], [0.867, 0.997, 0.825], [0.871, 0.632, 0.205], [0.871, 0.868, 0.705], [0.885, 0.697, 0.019], [0.885, 0.803, 0.519], [0.932, 0.186, 0.890], [0.932, 0.314, 0.390], [0.934, 0.165, 0.529], [0.934, 0.335, 0.029], [0.946, 0.665, 0.398], [0.946, 0.835, 0.898]],
  "ef_ev_per_fu": -78.6,
  "spacegroup": "No. 14",
  "crystal_system": "monoclinic"
}

---

Values of uncorrected energy, in order: -52.72, -814.73, -1062.30, -93.07, -200.84, -854.75, all in eV for the cell shown.